(1)
Tl2Pb3O9 | GGA-PBE | optimized geometry

Unit cell a=14.1859 b=14.1859 c=14.1859 alpha=164.45 beta=164.45 gamma=22.06
Last column: nearest neighbours and their distance in Å.
Positions (direct):
Tl 0.1966 0.1966 0.0000  2 O 2.16
Tl 0.8034 0.8034 0.0000  2 O 2.16
Pb 0.0000 0.0000 0.0000  4 O 2.21
Pb 0.4002 0.4002 0.0000  4 O 2.21
Pb 0.5998 0.5998 0.0000  4 O 2.21
O 0.0394 0.5394 0.5000  2 Pb 2.21
O 0.1393 0.6393 0.5000  2 Pb 2.21
O 0.2500 0.7500 0.5000  4 Tl 2.43
O 0.3607 0.8607 0.5000  2 Pb 2.21
O 0.4606 0.9606 0.5000  2 Pb 2.21
O 0.5604 0.0604 0.5000  2 Pb 2.21
O 0.6613 0.1613 0.5000  2 Tl 2.16
O 0.8387 0.3387 0.5000  2 Tl 2.16
O 0.9396 0.4396 0.5000  2 Pb 2.21

Properties
Spin magnetization = 0.00 μB per formula unit
ΔH_f (0 K) = -110.2 kJ per mole of atoms

***

(2)
Tl2Pb2O7 | GGA-PBE | optimized geometry

Unit cell a=7.6891 b=7.6891 c=7.6891 alpha=60.00 beta=60.00 gamma=60.00
Last column: nearest neighbours and their distance in Å.
Positions (direct):
Tl 0.0000 0.0000 0.0000  8 O 2.35-2.55
Tl 0.0000 0.0000 0.5000  8 O 2.35-2.55
Tl 0.0000 0.5000 0.0000  8 O 2.35-2.55
Tl 0.5000 0.0000 0.0000  8 O 2.35-2.55
Pb 0.0000 0.5000 0.5000  6 O 2.18
Pb 0.5000 0.0000 0.5000  6 O 2.18
Pb 0.5000 0.5000 0.0000  6 O 2.18
Pb 0.5000 0.5000 0.5000  6 O 2.18
O 0.1250 0.1250 0.1250  4 Tl 2.35
O 0.1545 0.1545 0.5955  2 Pb 2.18
O 0.1545 0.5955 0.1545  2 Pb 2.18
O 0.1545 0.5955 0.5955  2 Pb 2.18
O 0.4045 0.4045 0.8455  2 Pb 2.18
O 0.4045 0.8455 0.4045  2 Pb 2.18
O 0.4045 0.8455 0.8455  2 Pb 2.18
O 0.5955 0.1545 0.1545  2 Pb 2.18
O 0.5955 0.1545 0.5955  2 Pb 2.18
O 0.5955 0.5955 0.1545  2 Pb 2.18
O 0.8455 0.4045 0.4045  2 Pb 2.18
O 0.8455 0.4045 0.8455  2 Pb 2.18
O 0.8455 0.8455 0.4045  2 Pb 2.18
O 0.8750 0.8750 0.8750  4 Tl 2.35

Properties
Spin magnetization = 0.00 μB per formula unit
ΔH_f (0 K) = -109.9 kJ per mole of atoms